# Hg5Se2O8, relaxed, DFT PBE-GGA
data_Hg5Se2O8
_chemical_formula_sum 'Hg20 Se8 O32'
_space_group_name_H-M_alt 'P 1'
_space_group_IT_number 1
_cell_length_a 6.3731
_cell_length_b 9.5834
_cell_length_c 19.5153
_cell_angle_alpha 89.59
_cell_angle_beta 90.00
_cell_angle_gamma 109.42
loop_
_space_group_symop_operation_xyz
'x,y,z'
loop_
_atom_site_label
_atom_site_type_symbol
_atom_site_fract_x
_atom_site_fract_y
_atom_site_fract_z
Hg1 Hg 0.7823 0.9670 0.5034
Hg2 Hg 0.8153 0.0330 0.9966
Hg3 Hg 0.2177 0.0330 0.4966
Hg4 Hg 0.1847 0.9670 0.0034
Hg5 Hg 0.9289 0.6509 0.5358
Hg6 Hg 0.2780 0.3491 0.9642
Hg7 Hg 0.0711 0.3491 0.4642
Hg8 Hg 0.7220 0.6509 0.0358
Hg9 Hg 0.9329 0.8645 0.7741
Hg10 Hg 0.0684 0.1355 0.7259
Hg11 Hg 0.0671 0.1355 0.2259
Hg12 Hg 0.9316 0.8645 0.2741
Hg13 Hg 0.6902 0.5522 0.4263
Hg14 Hg 0.1380 0.4478 0.0737
Hg15 Hg 0.3098 0.4478 0.5737
Hg16 Hg 0.8620 0.5522 0.9263
Hg17 Hg 0.0140 0.5011 0.7477
Hg18 Hg 0.5129 0.4989 0.7523
Hg19 Hg 0.9860 0.4989 0.2523
Hg20 Hg 0.4871 0.5011 0.2477
Se1 Se 0.4047 0.8045 0.6263
Se2 Se 0.6002 0.1955 0.8737
Se3 Se 0.5953 0.1955 0.3737
Se4 Se 0.3998 0.8045 0.1263
Se5 Se 0.6154 0.2288 0.6414
Se6 Se 0.3867 0.7712 0.8586
Se7 Se 0.3846 0.7712 0.3586
Se8 Se 0.6133 0.2288 0.1414
O1 O 0.3523 0.1249 0.6217
O2 O 0.2274 0.8751 0.8783
O3 O 0.6477 0.8751 0.3783
O4 O 0.7726 0.1249 0.1217
O5 O 0.4235 0.8503 0.5387
O6 O 0.5732 0.1497 0.9613
O7 O 0.5765 0.1497 0.4613
O8 O 0.4268 0.8503 0.0387
O9 O 0.6418 0.2465 0.7273
O10 O 0.3953 0.7535 0.7727
O11 O 0.3582 0.7535 0.2727
O12 O 0.6047 0.2465 0.2273
O13 O 0.2061 0.3812 0.7062
O14 O 0.8249 0.6188 0.7938
O15 O 0.7939 0.6188 0.2938
O16 O 0.1751 0.3812 0.2062
O17 O 0.8011 0.1547 0.6124
O18 O 0.6465 0.8453 0.8876
O19 O 0.1989 0.8453 0.3876
O20 O 0.3535 0.1547 0.1124
O21 O 0.1181 0.7112 0.6313
O22 O 0.4069 0.2888 0.8687
O23 O 0.8819 0.2888 0.3687
O24 O 0.5931 0.7112 0.1313
O25 O 0.5144 0.6616 0.6277
O26 O 0.8529 0.3384 0.8723
O27 O 0.4856 0.3384 0.3723
O28 O 0.1471 0.6616 0.1277
O29 O 0.6610 0.4019 0.6098
O30 O 0.2591 0.5981 0.8902
O31 O 0.3390 0.5981 0.3902
O32 O 0.7409 0.4019 0.1098
# **Energy of formation from the pure elements**: -882 meV/atom
# **E**: -3.722 eV per atom
# **Volume**: 18.7 Å³ per atom

=====

# La2HfS5, relaxed, DFT PBE-GGA
data_La2HfS5
_chemical_formula_sum 'La8 Hf4 S20'
_space_group_name_H-M_alt 'P 1'
_space_group_IT_number 1
_cell_length_a 7.4765
_cell_length_b 8.1332
_cell_length_c 11.7137
_cell_angle_alpha 90.00
_cell_angle_beta 90.00
_cell_angle_gamma 90.00
loop_
_space_group_symop_operation_xyz
'x,y,z'
loop_
_atom_site_label
_atom_site_type_symbol
_atom_site_fract_x
_atom_site_fract_y
_atom_site_fract_z
La1 La 0.5356 0.0005 0.3241
La2 La 0.9644 0.4995 0.8241
La3 La 0.4644 0.5005 0.6759
La4 La 0.0356 0.9995 0.1759
La5 La 0.4644 0.9995 0.6759
La6 La 0.0356 0.5005 0.1759
La7 La 0.5356 0.4995 0.3241
La8 La 0.9644 0.0005 0.8241
Hf1 Hf 0.0726 0.7500 0.4923
Hf2 Hf 0.4274 0.7500 0.9923
Hf3 Hf 0.9274 0.2500 0.5077
Hf4 Hf 0.5726 0.2500 0.0077
S1 S 0.8357 0.5348 0.5815
S2 S 0.6643 0.9652 0.0815
S3 S 0.1643 0.0348 0.4185
S4 S 0.3357 0.4652 0.9185
S5 S 0.1643 0.4652 0.4185
S6 S 0.3357 0.0348 0.9185
S7 S 0.8357 0.9652 0.5815
S8 S 0.6643 0.5348 0.0815
S9 S 0.8472 0.7500 0.3173
S10 S 0.6528 0.7500 0.8173
S11 S 0.1528 0.2500 0.6827
S12 S 0.3472 0.2500 0.1827
S13 S 0.4382 0.7500 0.4934
S14 S 0.0618 0.7500 0.9934
S15 S 0.5618 0.2500 0.5066
S16 S 0.9382 0.2500 0.0066
S17 S 0.1759 0.7500 0.7035
S18 S 0.3241 0.7500 0.2035
S19 S 0.8241 0.2500 0.2965
S20 S 0.6759 0.2500 0.7965
# **Energy of formation from the pure elements**: -2296 meV/atom
# **E**: -7.045 eV per atom
# **Volume**: 22.3 Å³ per atom

=====

# Sb2Te4Pd3, relaxed, DFT PBE-GGA
data_Sb2Te4Pd3
_chemical_formula_sum 'Sb8 Te16 Pd12'
_space_group_name_H-M_alt 'P 1'
_space_group_IT_number 1
_cell_length_a 6.6661
_cell_length_b 6.6715
_cell_length_c 19.9756
_cell_angle_alpha 89.81
_cell_angle_beta 89.54
_cell_angle_gamma 89.82
loop_
_space_group_symop_operation_xyz
'x,y,z'
loop_
_atom_site_label
_atom_site_type_symbol
_atom_site_fract_x
_atom_site_fract_y
_atom_site_fract_z
Sb1 Sb 0.3692 0.8741 0.7099
Sb2 Sb 0.3689 0.8735 0.3769
Sb3 Sb 0.3679 0.8720 0.0428
Sb4 Sb 0.1297 0.3699 0.9575
Sb5 Sb 0.1306 0.3688 0.6245
Sb6 Sb 0.1327 0.3707 0.2915
Sb7 Sb 0.8740 0.1299 0.7897
Sb8 Sb 0.8736 0.1318 0.4564
Te1 Te 0.8724 0.1319 0.1227
Te2 Te 0.6311 0.6317 0.8765
Te3 Te 0.6308 0.6312 0.5437
Te4 Te 0.6297 0.6317 0.2108
Te5 Te 0.6227 0.1236 0.9577
Te6 Te 0.6248 0.1240 0.6249
Te7 Te 0.6237 0.1230 0.2919
Te8 Te 0.8745 0.6238 0.7081
Te9 Te 0.8758 0.6232 0.3748
Te10 Te 0.8732 0.6228 0.0412
Te11 Te 0.1235 0.8743 0.8748
Te12 Te 0.1223 0.8758 0.5412
Te13 Te 0.1252 0.8710 0.2084
Te14 Te 0.3741 0.3734 0.7916
Te15 Te 0.3730 0.3725 0.4579
Te16 Te 0.3746 0.3722 0.1239
Pd1 Pd 0.0024 0.4958 0.8334
Pd2 Pd 0.0016 0.4965 0.5006
Pd3 Pd 0.0046 0.4999 0.1677
Pd4 Pd 0.5004 0.0015 0.8317
Pd5 Pd 0.5007 0.0023 0.4991
Pd6 Pd 0.4972 0.0001 0.1656
Pd7 Pd 0.4960 0.5009 0.6674
Pd8 Pd 0.4970 0.5008 0.3343
Pd9 Pd 0.4953 0.5012 0.0000
Pd10 Pd 0.0023 0.0008 0.9997
Pd11 Pd 0.0024 0.0017 0.6675
Pd12 Pd 0.0023 0.0017 0.3336
# **Energy of formation from the pure elements**: -344 meV/atom
# **E**: -4.385 eV per atom
# **Volume**: 24.7 Å³ per atom

=====

# Hf3Tl2Cu2Se8, relaxed, DFT PBE-GGA
data_Hf3Tl2Cu2Se8
_chemical_formula_sum 'Hf3 Tl2 Cu2 Se8'
_space_group_name_H-M_alt 'P 1'
_space_group_IT_number 1
_cell_length_a 7.7072
_cell_length_b 7.7072
_cell_length_c 14.5027
_cell_angle_alpha 66.17
_cell_angle_beta 66.17
_cell_angle_gamma 28.71
loop_
_space_group_symop_operation_xyz
'x,y,z'
loop_
_atom_site_label
_atom_site_type_symbol
_atom_site_fract_x
_atom_site_fract_y
_atom_site_fract_z
Hf1 Hf 0.3449 0.3449 0.3802
Hf2 Hf 0.6551 0.6551 0.6198
Hf3 Hf 0.5000 0.5000 0.0000
Tl1 Tl 0.6685 0.6685 0.1984
Tl2 Tl 0.3315 0.3315 0.8016
Cu1 Cu 0.9593 0.9593 0.1980
Cu2 Cu 0.0407 0.0407 0.8020
Se1 Se 0.1073 0.1073 0.0396
Se2 Se 0.9797 0.9797 0.3554
Se3 Se 0.0203 0.0203 0.6446
Se4 Se 0.2952 0.2952 0.5814
Se5 Se 0.7048 0.7048 0.4186
Se6 Se 0.6432 0.6432 0.8092
Se7 Se 0.3568 0.3568 0.1908
Se8 Se 0.8927 0.8927 0.9604
# **Energy of formation from the pure elements**: -1205 meV/atom
# **E**: -5.671 eV per atom
# **Volume**: 25.1 Å³ per atom

=====

# LiCr2S4, relaxed, DFT PBE-GGA
data_LiCr2S4
_chemical_formula_sum 'Li4 Cr8 S16'
_space_group_name_H-M_alt 'P 1'
_space_group_IT_number 1
_cell_length_a 5.7776
_cell_length_b 6.8713
_cell_length_c 11.9040
_cell_angle_alpha 90.00
_cell_angle_beta 90.00
_cell_angle_gamma 90.00
loop_
_space_group_symop_operation_xyz
'x,y,z'
loop_
_atom_site_label
_atom_site_type_symbol
_atom_site_fract_x
_atom_site_fract_y
_atom_site_fract_z
Li1 Li 0.9100 0.2500 0.0920
Li2 Li 0.0900 0.7500 0.9080
Li3 Li 0.4100 0.7500 0.4080
Li4 Li 0.5900 0.2500 0.5920
Cr1 Cr 0.5000 0.0000 0.0000
Cr2 Cr 0.0000 0.0000 0.5000
Cr3 Cr 0.0000 0.5000 0.5000
Cr4 Cr 0.5000 0.5000 0.0000
Cr5 Cr 0.0138 0.7500 0.2410
Cr6 Cr 0.9862 0.2500 0.7590
Cr7 Cr 0.5138 0.2500 0.2590
Cr8 Cr 0.4862 0.7500 0.7410
S1 S 0.7182 0.9894 0.1719
S2 S 0.2818 0.0106 0.8281
S3 S 0.2182 0.0106 0.3281
S4 S 0.7818 0.9894 0.6719
S5 S 0.7818 0.5106 0.6719
S6 S 0.2182 0.4894 0.3281
S7 S 0.2818 0.4894 0.8281
S8 S 0.7182 0.5106 0.1719
S9 S 0.2618 0.7500 0.0827
S10 S 0.7382 0.2500 0.9173
S11 S 0.7618 0.2500 0.4173
S12 S 0.2382 0.7500 0.5827
S13 S 0.3027 0.2500 0.0885
S14 S 0.6973 0.7500 0.9115
S15 S 0.8027 0.7500 0.4115
S16 S 0.1973 0.2500 0.5885
# **Energy of formation from the pure elements**: -983 meV/atom
# **Excess energy over the best structure of this formula in the dataset**: 111 meV per atom
# **E**: -6.090 eV per atom
# **Volume**: 16.9 Å³ per atom

=====

# UB4, relaxed, DFT PBE-GGA
data_UB4
_chemical_formula_sum 'U4 B16'
_space_group_name_H-M_alt 'P 1'
_space_group_IT_number 1
_cell_length_a 7.0241
_cell_length_b 7.0241
_cell_length_c 3.9500
_cell_angle_alpha 90.00
_cell_angle_beta 90.00
_cell_angle_gamma 90.00
loop_
_space_group_symop_operation_xyz
'x,y,z'
loop_
_atom_site_label
_atom_site_type_symbol
_atom_site_fract_x
_atom_site_fract_y
_atom_site_fract_z
U1 U 0.8097 0.3097 0.0000
U2 U 0.3097 0.1903 0.0000
U3 U 0.6903 0.8097 0.0000
U4 U 0.1903 0.6903 0.0000
B1 B 0.0000 0.0000 0.2001
B2 B 0.5000 0.5000 0.7999
B3 B 0.0000 0.0000 0.7999
B4 B 0.5000 0.5000 0.2001
B5 B 0.5869 0.0869 0.5000
B6 B 0.0869 0.4131 0.5000
B7 B 0.9131 0.5869 0.5000
B8 B 0.4131 0.9131 0.5000
B9 B 0.0386 0.1791 0.5000
B10 B 0.1791 0.9614 0.5000
B11 B 0.8209 0.0386 0.5000
B12 B 0.9614 0.8209 0.5000
B13 B 0.4614 0.6791 0.5000
B14 B 0.5386 0.3209 0.5000
B15 B 0.6791 0.5386 0.5000
B16 B 0.3209 0.4614 0.5000
# **Energy of formation from the pure elements**: -508 meV/atom
# **E**: -8.110 eV per atom
# **Volume**: 9.7 Å³ per atom